The following is a PBE-GGA calculation of a geometry-optimized HoNbO4 structure, from the Materials Project.

crystal system = monoclinic
total energy after the MP2020 corrections = -111.8 eV/cell

Cell: 6.5877 6.5877 5.1389 Å, 111.24 111.24 114.39°
Positions (direct):
Ho 0.1281 0.8719 0.7500
Ho 0.8719 0.1281 0.2500
Nb 0.3914 0.6086 0.2500
Nb 0.6086 0.3914 0.7500
O 0.1275 0.5492 0.3402
O 0.2166 0.2816 0.7950
O 0.2816 0.2166 0.2950
O 0.4508 0.8725 0.1598
O 0.5492 0.1275 0.8402
O 0.7184 0.7834 0.7050
O 0.7834 0.7184 0.2050
O 0.8725 0.4508 0.6598



The following is a PBE-GGA calculation of a geometry-optimized Ho2Nb2S7O30 structure, from the Materials Project.

crystal system = tetragonal
total energy after the MP2020 corrections = -599.2 eV/cell

Cell: 12.8093 12.8093 7.1223 Å, 90.00 90.00 90.00°
Positions (direct):
Ho 0.1986 0.3014 0.4079
Ho 0.3014 0.8014 0.5921
Ho 0.6986 0.1986 0.5921
Ho 0.8014 0.6986 0.4079
Nb 0.1391 0.6391 0.9803
Nb 0.3609 0.1391 0.0197
Nb 0.6391 0.8609 0.0197
Nb 0.8609 0.3609 0.9803
S 0.0000 0.5000 0.3468
S 0.0643 0.8229 0.3014
S 0.1238 0.3762 0.8935
S 0.1771 0.0643 0.6986
S 0.3229 0.5643 0.3014
S 0.3762 0.8762 0.1065
S 0.4357 0.3229 0.6986
S 0.5000 0.0000 0.6532
S 0.5643 0.6771 0.6986
S 0.6238 0.1238 0.1065
S 0.6771 0.4357 0.3014
S 0.8229 0.9357 0.6986
S 0.8762 0.6238 0.8935
S 0.9357 0.1771 0.3014
O 0.0084 0.3575 0.8684
O 0.0440 0.2102 0.3285
O 0.0643 0.0750 0.7260
O 0.0666 0.5666 0.2244
O 0.0678 0.4322 0.4609
O 0.0750 0.9357 0.2740
O 0.1050 0.7706 0.1207
O 0.1320 0.7878 0.4558
O 0.1425 0.4916 0.8684
O 0.1564 0.3436 0.0795
O 0.1770 0.3230 0.7391
O 0.2030 0.7030 0.7905
O 0.2102 0.9560 0.6715
O 0.2122 0.1320 0.5442
O 0.2294 0.1050 0.8793
O 0.2706 0.6050 0.1207
O 0.2878 0.6320 0.4558
O 0.2898 0.4560 0.3285
O 0.2970 0.2030 0.2095
O 0.3230 0.8230 0.2609
O 0.3436 0.8436 0.9205
O 0.3575 0.9916 0.1316
O 0.3680 0.2878 0.5442
O 0.3950 0.2706 0.8793
O 0.4250 0.4357 0.7260
O 0.4322 0.9322 0.5391
O 0.4334 0.0666 0.7756
O 0.4357 0.5750 0.2740
O 0.4560 0.7102 0.6715
O 0.4916 0.8575 0.1316
O 0.5084 0.1425 0.1316
O 0.5440 0.2898 0.6715
O 0.5643 0.4250 0.2740
O 0.5666 0.9334 0.7756
O 0.5678 0.0678 0.5391
O 0.5750 0.5643 0.7260
O 0.6050 0.7294 0.8793
O 0.6320 0.7122 0.5442
O 0.6425 0.0084 0.1316
O 0.6564 0.1564 0.9205
O 0.6770 0.1770 0.2609
O 0.7030 0.7970 0.2095
O 0.7102 0.5440 0.3285
O 0.7122 0.3680 0.4558
O 0.7294 0.3950 0.1207
O 0.7706 0.8950 0.8793
O 0.7878 0.8680 0.5442
O 0.7898 0.0440 0.6715
O 0.7970 0.2970 0.7905
O 0.8230 0.6770 0.7391
O 0.8436 0.6564 0.0795
O 0.8575 0.5084 0.8684
O 0.8680 0.2122 0.4558
O 0.8950 0.2294 0.1207
O 0.9250 0.0643 0.2740
O 0.9322 0.5678 0.4609
O 0.9334 0.4334 0.2244
O 0.9357 0.9250 0.7260
O 0.9560 0.7898 0.3285
O 0.9916 0.6425 0.8684



The following is a PBE-GGA calculation of a geometry-optimized Nd3HoZr4O14 structure, from the Materials Project.

crystal system = trigonal
total energy after the MP2020 corrections = -207.0 eV/cell

Cell: 7.5832 7.5832 7.5832 Å, 60.05 60.05 60.05°
Positions (direct):
Nd 0.0000 0.5000 0.5000
Nd 0.5000 0.0000 0.5000
Nd 0.5000 0.5000 0.0000
Ho 0.5000 0.5000 0.5000
Zr 0.0000 0.0000 0.0000
Zr 0.0000 0.0000 0.5000
Zr 0.0000 0.5000 0.0000
Zr 0.5000 0.0000 0.0000
O 0.0868 0.0868 0.6632
O 0.0868 0.6632 0.0868
O 0.0894 0.6630 0.6630
O 0.3370 0.3370 0.9106
O 0.3370 0.9106 0.3370
O 0.3368 0.9132 0.9132
O 0.3795 0.3795 0.3795
O 0.6205 0.6205 0.6205
O 0.6632 0.0868 0.0868
O 0.6630 0.0894 0.6630
O 0.6630 0.6630 0.0894
O 0.9106 0.3370 0.3370
O 0.9132 0.3368 0.9132
O 0.9132 0.9132 0.3368



The following is a PBE-GGA calculation of a geometry-optimized NdHo3S6 structure, from the Materials Project.

crystal system = monoclinic
total energy after the MP2020 corrections = -134.3 eV/cell

Cell: 11.0715 3.9750 11.2897 Å, 90.00 108.78 90.00°
Positions (direct):
Nd 0.0477 0.2500 0.1935
Nd 0.9523 0.7500 0.8065
Ho 0.1611 0.2500 0.5856
Ho 0.3194 0.7500 0.9981
Ho 0.4376 0.2500 0.3325
Ho 0.5624 0.7500 0.6675
Ho 0.6806 0.2500 0.0019
Ho 0.8389 0.7500 0.4144
S 0.0811 0.7500 0.4047
S 0.1172 0.2500 0.9633
S 0.1940 0.7500 0.7484
S 0.2622 0.7500 0.2270
S 0.3966 0.2500 0.5617
S 0.4775 0.2500 0.1121
S 0.5225 0.7500 0.8879
S 0.6034 0.7500 0.4383
S 0.7378 0.2500 0.7730
S 0.8060 0.2500 0.2516
S 0.8828 0.7500 0.0367
S 0.9189 0.2500 0.5953